Entry 1:
LiNbSn3P6O24 | PBE-GGA | relaxed

Calculated values
Energy above the most stable polymorph in this dataset (meV/atom): 0.0

Cell lengths 8.7724, 8.7724, 22.3188 Å; angles 90.00, 90.00, 120.00 degrees
With the nearest neighbours (Å) after each atom.
Space group R3 (No. 146, hexagonal axes)
Symmetry-distinct sites (fractional):
Li1 0.0000 0.0000 0.0000 [3 per cell]  3 O 2.32
Nb1 0.0000 0.0000 0.8490 [3 per cell]  6 O 1.99-2.01
Sn1 0.0000 0.0000 0.1395 [3 per cell]  6 O 2.02-2.07
Sn2 0.0000 0.0000 0.3518 [3 per cell]  6 O 2.05-2.06
Sn3 0.0000 0.0000 0.6364 [3 per cell]  6 O 2.02-2.04
P1 0.0004 0.7112 0.2445 [9 per cell]  4 O 1.52-1.58
P2 0.0040 0.2936 0.7415 [9 per cell]  4 O 1.53-1.57
O1 0.0203 0.8150 0.1869 [9 per cell]  1 P 1.54
O2 0.0218 0.8330 0.9050 [9 per cell]  1 P 1.58
O3 0.0297 0.2100 0.6852 [9 per cell]  1 P 1.53
O4 0.0309 0.1986 0.4075 [9 per cell]  1 P 1.53
O5 0.1495 0.4766 0.4650 [9 per cell]  1 P 1.57
O6 0.1581 0.7020 0.9674 [9 per cell]  1 P 1.53
O7 0.1617 0.6901 0.2486 [9 per cell]  1 P 1.52
O8 0.1697 0.4800 0.7443 [9 per cell]  1 P 1.55


Entry 2:
LiNbSn3P6O24 | PBE-GGA | relaxed

Calculated values
Energy above the most stable polymorph in this dataset (meV/atom): 8.8

Cell lengths 8.8227, 8.8339, 8.8597 Å; angles 89.98, 60.24, 60.16 degrees
With the nearest neighbours (Å) after each atom.
Space group P1 (No. 1)
Symmetry-distinct sites (fractional):
Li1 0.0000 0.0000 0.0000 [1 per cell]  3 O 2.06-2.10
Nb1 0.7997 0.4173 0.1605 [1 per cell]  6 O 1.96-2.04
Sn1 0.3652 0.1269 0.3208 [1 per cell]  6 O 2.02-2.05
Sn2 0.3789 0.6164 0.8117 [1 per cell]  6 O 2.01-2.11
Sn3 0.8039 0.9075 0.6531 [1 per cell]  6 O 2.04-2.08
P1 0.2900 0.8085 0.4952 [1 per cell]  4 O 1.53-1.58
P2 0.3020 0.0179 0.9826 [1 per cell]  4 O 1.52-1.58
P3 0.5871 0.2262 0.4852 [1 per cell]  4 O 1.53-1.57
P4 0.5879 0.3017 0.9843 [1 per cell]  4 O 1.53-1.58
P5 0.8648 0.7399 0.9946 [1 per cell]  4 O 1.52-1.56
P6 0.8743 0.5178 0.4926 [1 per cell]  4 O 1.53-1.57
O1 0.0462 0.7459 0.9775 [1 per cell]  1 P 1.56
O2 0.0708 0.3638 0.4804 [1 per cell]  1 P 1.53
O3 0.0929 0.1763 0.0031 [1 per cell]  1 P 1.58
O4 0.1229 0.7949 0.4969 [1 per cell]  1 P 1.53
O5 0.2540 0.9951 0.4839 [1 per cell]  1 P 1.53
O6 0.2792 0.8541 0.9830 [1 per cell]  1 P 1.56
O7 0.2918 0.0682 0.1530 [1 per cell]  1 P 1.52
O8 0.2922 0.7863 0.6670 [1 per cell]  1 P 1.54
O9 0.4119 0.4776 0.9878 [1 per cell]  1 P 1.54
O10 0.4320 0.1913 0.4886 [1 per cell]  1 P 1.53
O11 0.4493 0.3963 0.6545 [1 per cell]  1 P 1.54
O12 0.4811 0.2578 0.1579 [1 per cell]  1 P 1.53
O13 0.4907 0.9893 0.8029 [1 per cell]  1 P 1.52
O14 0.5101 0.6438 0.3212 [1 per cell]  1 P 1.58
O15 0.6621 0.8839 0.1808 [1 per cell]  1 P 1.53
O16 0.6793 0.5488 0.6708 [1 per cell]  1 P 1.54
O17 0.7069 0.2651 0.3055 [1 per cell]  1 P 1.57
O18 0.7349 0.3450 0.9975 [1 per cell]  1 P 1.58
O19 0.7375 0.1364 0.8078 [1 per cell]  1 P 1.53
O20 0.7659 0.0538 0.4815 [1 per cell]  1 P 1.54
O21 0.8484 0.7692 0.8324 [1 per cell]  1 P 1.52
O22 0.8714 0.6925 0.4855 [1 per cell]  1 P 1.53
O23 0.8743 0.4618 0.3245 [1 per cell]  1 P 1.57
O24 0.9074 0.5470 0.0043 [1 per cell]  1 P 1.56


Entry 3:
Li3Nb4SnO12 | PBE-GGA | relaxed

Calculated values
Calculated total energy (eV/atom): -7.77

Cell lengths 5.4435, 5.6645, 7.8344 Å; angles 93.09, 90.09, 90.09 degrees
With the nearest neighbours (Å) after each atom.
Space group P1 (No. 1)
Symmetry-distinct sites (fractional):
Li1 0.0000 0.0000 0.0000 [1 per cell]  6 O 2.19-2.42
Li2 0.0012 0.9943 0.4979 [1 per cell]  6 O 2.22-2.40
Li3 0.5086 0.4950 0.0023 [1 per cell]  6 O 2.19-2.37
Nb1 0.0045 0.5817 0.7185 [1 per cell]  6 O 1.97-2.12
Nb2 0.0088 0.5559 0.1980 [1 per cell]  5 O 1.91-2.10
Nb3 0.5043 0.0829 0.7231 [1 per cell]  5 O 1.93-2.11
Nb4 0.5128 0.0496 0.2103 [1 per cell]  5 O 1.91-2.11
Sn1 0.5100 0.5329 0.4779 [1 per cell]  5 O 2.31-2.54
O1 0.0657 0.5967 0.4528 [1 per cell]  2 Nb 2.02-2.12
O2 0.2062 0.2829 0.1442 [1 per cell]  1 Nb 1.91
O3 0.2089 0.8920 0.7535 [1 per cell]  2 Nb 1.96-2.08
O4 0.3064 0.7750 0.1445 [1 per cell]  2 Nb 1.96-2.10, 1 Li 2.19
O5 0.3115 0.3997 0.7590 [1 per cell]  2 Nb 2.00-2.09, 1 Li 2.23
O6 0.4011 0.0971 0.4524 [1 per cell]  2 Nb 2.00-2.20
O7 0.6152 0.0917 0.9575 [1 per cell]  2 Nb 1.93-2.08
O8 0.6968 0.3782 0.2323 [1 per cell]  2 Nb 2.00-2.11, 1 Li 2.20
O9 0.7261 0.8131 0.6613 [1 per cell]  2 Nb 1.99-2.07
O10 0.7968 0.3003 0.6488 [1 per cell]  2 Nb 2.00-2.11
O11 0.8148 0.8911 0.2528 [1 per cell]  1 Nb 1.91
O12 0.8889 0.6069 0.9568 [1 per cell]  2 Nb 1.97-2.03, 1 Li 2.20


Entry 4:
Sr3Li6Nb2O11 | PBE-GGA | relaxed

Calculated values
Calculated total energy (eV/atom): -6.64

Cell lengths 10.7049, 8.4449, 5.8695 Å; angles 90.00, 90.00, 90.00 degrees
With the nearest neighbours (Å) after each atom.
Space group Pmma (No. 51)
Symmetry-distinct sites (fractional):
Sr1 0.0000 0.2362 0.0000 [4 per cell]  8 O 2.55-2.81
Sr2 0.2500 0.5000 0.1166 [2 per cell]  8 O 2.49-2.76
Li1 0.0000 0.1456 0.5000 [4 per cell]  4 O 2.03-2.09
Li2 0.2500 0.1856 0.2809 [4 per cell]  3 O 1.83-1.97
Li3 0.2500 0.3530 0.6466 [4 per cell]  5 O 2.12-2.23
Nb1 0.0000 0.5000 0.5000 [2 per cell]  6 O 2.02-2.05
Nb2 0.2500 0.0000 0.7631 [2 per cell]  5 O 1.88-2.03
O1 0.0604 0.0000 0.7521 [4 per cell]  2 Li 2.03, 1 Nb 2.03
O2 0.1073 0.5000 0.7822 [4 per cell]  1 Nb 2.02, 2 Li 2.12
O3 0.1110 0.3264 0.3658 [8 per cell]  2 Li 1.97-2.09, 1 Nb 2.05
O4 0.2500 0.0000 0.4430 [2 per cell]  2 Li 1.83, 1 Nb 1.88
O5 0.2500 0.1993 0.9312 [4 per cell]  1 Nb 1.95, 2 Li 2.06-2.12


Entry 5:
Sr3Li2Nb4O13 | PBE-GGA | relaxed

Calculated values
Calculated total energy (eV/atom): -7.86

Cell lengths 4.0521, 4.0521, 34.7981 Å; angles 90.00, 90.00, 90.00 degrees
With the nearest neighbours (Å) after each atom.
Space group I4/mmm (No. 139)
Symmetry-distinct sites (fractional):
Sr1 0.0000 0.0000 0.0000 [2 per cell]  12 O 2.86-2.87
Sr2 0.0000 0.0000 0.1229 [4 per cell]  8 O 2.66-2.87
Li1 0.0000 0.5000 0.2500 [4 per cell]  4 O 2.10
Nb1 0.0000 0.0000 0.3207 [4 per cell]  5 O 1.90-2.04
Nb2 0.0000 0.0000 0.4409 [4 per cell]  6 O 2.02-2.06
O1 0.0000 0.0000 0.2661 [4 per cell]  1 Nb 1.90, 4 Li 2.10
O2 0.0000 0.0000 0.3829 [4 per cell]  2 Nb 2.02-2.16
O3 0.0000 0.0000 0.5000 [2 per cell]  2 Nb 2.06
O4 0.0000 0.5000 0.0579 [8 per cell]  2 Nb 2.03
O5 0.0000 0.5000 0.1727 [8 per cell]  2 Nb 2.04


Entry 6:
SrLi2Nb2O7 | PBE-GGA | relaxed

Calculated values
Calculated total energy (eV/atom): -7.64

Cell lengths 4.0130, 4.0130, 18.4188 Å; angles 90.00, 90.00, 90.00 degrees
With the nearest neighbours (Å) after each atom.
Space group I4/mmm (No. 139)
Symmetry-distinct sites (fractional):
Sr1 0.0000 0.0000 0.0000 [2 per cell]  12 O 2.79-2.84
Li1 0.0000 0.5000 0.2500 [4 per cell]  4 O 2.09
Nb1 0.0000 0.0000 0.3844 [4 per cell]  6 O 1.90-2.13
O1 0.0000 0.0000 0.2812 [4 per cell]  1 Nb 1.90, 4 Li 2.09
O2 0.0000 0.0000 0.5000 [2 per cell]  2 Nb 2.13
O3 0.0000 0.5000 0.1054 [8 per cell]  2 Nb 2.02